[1]
DFT (GGA-PBE) results for crystalline CaSi2 at its relaxed geometry.

Lattice parameters (Å, degrees): 3.8749 3.8749 10.3773 79.24 79.24 60.00
Fractional positions:
1 Si 0.3471 0.3471 0.9588
2 Si 0.8174 0.8174 0.5478
3 Si 0.1826 0.1826 0.4522
4 Si 0.6529 0.6529 0.0412
5 Ca 0.9200 0.9200 0.2399
6 Ca 0.0800 0.0800 0.7601

Properties
**Energy of formation from the pure elements**: -0.335 eV per atom
**SG**: R-3m (166)
**Corrected total energy (MP2020 scheme)**: -4.62 eV per atom

---

[2]
DFT (GGA-PBE) results for crystalline Ca3Si4 at its relaxed geometry.

Lattice parameters (Å, degrees): 8.5471 8.5471 14.9033 90.00 90.00 120.00
Fractional positions:
1 Si 0.0898 0.7369 0.1101
2 Si 0.6733 0.0560 0.2500
3 Si 0.7369 0.6471 0.6101
4 Si 0.3333 0.6667 0.0569
5 Si 0.6667 0.3333 0.5569
6 Si 0.3529 0.0898 0.8899
7 Si 0.3333 0.6667 0.7500
8 Si 0.0560 0.3827 0.7500
9 Si 0.2631 0.3529 0.3899
10 Si 0.7369 0.6471 0.8899
11 Si 0.3333 0.6667 0.4431
12 Si 0.3827 0.3267 0.2500
13 Si 0.3267 0.9440 0.7500
14 Si 0.2631 0.3529 0.1101
15 Si 0.9102 0.2631 0.8899
16 Si 0.6667 0.3333 0.9431
17 Si 0.6471 0.9102 0.3899
18 Si 0.6471 0.9102 0.1101
19 Si 0.3529 0.0898 0.6101
20 Si 0.6173 0.6733 0.7500
21 Si 0.9102 0.2631 0.6101
22 Si 0.0898 0.7369 0.3899
23 Si 0.6667 0.3333 0.2500
24 Si 0.9440 0.6173 0.2500
25 Ca 0.0929 0.6713 0.9026
26 Ca 0.3287 0.4216 0.9026
27 Ca 0.5784 0.9071 0.9026
28 Ca 0.3287 0.4216 0.5974
29 Ca 0.0000 0.0000 0.5000
30 Ca 0.3333 0.6667 0.2500
31 Ca 0.0000 0.0000 0.2500
32 Ca 0.6713 0.5784 0.4026
33 Ca 0.9071 0.3287 0.0974
34 Ca 0.0000 0.0000 0.7500
35 Ca 0.4216 0.0929 0.4026
36 Ca 0.6713 0.5784 0.0974
37 Ca 0.0000 0.0000 0.0000
38 Ca 0.6667 0.3333 0.7500
39 Ca 0.4216 0.0929 0.0974
40 Ca 0.9071 0.3287 0.4026
41 Ca 0.0929 0.6713 0.5974
42 Ca 0.5784 0.9071 0.5974

Properties
**Energy of formation from the pure elements**: -0.429 eV per atom
**SG**: P6_3/m (176)
**Corrected total energy (MP2020 scheme)**: -4.39 eV per atom